Entry 1:
This record from the Materials Project describes a geometry-optimized La6AlFe13 structure. The functional is PBE-GGA.

Properties
DFT total energy (eV per formula unit): -143.87
V (Å³ per atom): 19.4
Spin magnetization (μB/f.u.): 26.9
Calculated formation energy (eV per atom): -0.020

a = 8.0859 Å, b = 8.0859 Å, c = 23.7426 Å
α = 90.00°, β = 90.00°, γ = 90.00°
Space group I4/mcm (No. 140)
Symmetry-distinct sites (fractional):
La: 0.0000 0.0000 0.1073 [8 per cell]
La: 0.1640 0.3360 0.1856 [16 per cell]
Al: 0.0000 0.0000 0.2500 [4 per cell]
Fe: 0.0000 0.5000 0.0000 [4 per cell]
Fe: 0.0669 0.2090 0.5000 [16 per cell]
Fe: 0.1130 0.3870 0.4081 [16 per cell]
Fe: 0.1783 0.3217 0.0579 [16 per cell]

---

Entry 2:
This record from the Materials Project describes a geometry-optimized CuGe3 structure. The functional is PBE-GGA.

Properties
DFT total energy (eV per formula unit): -16.75
V (Å³ per atom): 18.3
Spin magnetization (μB/f.u.): 0.0
Calculated formation energy (eV per atom): 0.306

a = 4.3454 Å, b = 4.3454 Å, c = 8.9349 Å
α = 90.00°, β = 90.00°, γ = 120.00°
Space group P6_3/mmc (No. 194)
Symmetry-distinct sites (fractional):
Cu: 0.3333 0.6667 0.2500 [2 per cell]
Ge: 0.0000 0.0000 0.2500 [2 per cell]
Ge: 0.3333 0.6667 0.5756 [4 per cell]

---

Entry 3:
This record from the Materials Project describes a geometry-optimized Dy3GaO6 structure. The functional is PBE-GGA.

Properties
DFT total energy (eV per formula unit): -78.36
V (Å³ per atom): 13.5
Calculated formation energy (eV per atom): -3.595
MP2020-corrected energy (eV/atom): -8.2486

a = 8.9078 Å, b = 11.1686 Å, c = 5.4463 Å
α = 90.00°, β = 90.00°, γ = 90.00°
Space group Cmc2_1 (No. 36)
Symmetry-distinct sites (fractional):
Dy: 0.0000 0.1019 0.0000 [4 per cell]
Dy: 0.1936 0.3946 0.0473 [8 per cell]
Ga: 0.0000 0.3070 0.5777 [4 per cell]
O: 0.0000 0.2844 0.2402 [4 per cell]
O: 0.0000 0.4614 0.7198 [4 per cell]
O: 0.1582 0.2361 0.7566 [8 per cell]
O: 0.1601 0.0161 0.2748 [8 per cell]

---

Entry 4:
This record from the Materials Project describes a geometry-optimized Na3Ta2Si3Sn2P3O24 structure. The functional is PBE-GGA.

Properties
DFT total energy (eV per formula unit): -275.83
V (Å³ per atom): 13.9
Spin magnetization (μB/f.u.): 0.0
Calculated formation energy (eV per atom): -2.847
MP2020-corrected energy (eV/atom): -7.9005

a = 8.8501 Å, b = 8.8710 Å, c = 22.7492 Å
α = 90.09°, β = 90.19°, γ = 119.89°
Space group P1 (No. 1)
Symmetry-distinct sites (fractional):
Na: 0.0000 0.0000 0.0000 [1 per cell]
Na: 0.0005 0.0089 0.5000 [1 per cell]
Na: 0.3209 0.6579 0.6674 [1 per cell]
Na: 0.3338 0.6604 0.1659 [1 per cell]
Na: 0.3668 0.0017 0.2496 [1 per cell]
Na: 0.6334 0.0041 0.7507 [1 per cell]
Na: 0.6673 0.3360 0.3334 [1 per cell]
Na: 0.6741 0.3448 0.8341 [1 per cell]
Na: 0.9680 0.6702 0.4174 [1 per cell]
Ta: 0.0010 0.9967 0.1442 [1 per cell]
Ta: 0.0016 0.0052 0.6445 [1 per cell]
Ta: 0.3328 0.6749 0.5219 [1 per cell]
Ta: 0.3375 0.6786 0.0210 [1 per cell]
Ta: 0.6679 0.3371 0.9793 [1 per cell]
Ta: 0.9983 0.0029 0.8564 [1 per cell]
Si: 0.0057 0.2972 0.7504 [1 per cell]
Si: 0.0433 0.6679 0.9161 [1 per cell]
Si: 0.3390 0.9667 0.4151 [1 per cell]
Si: 0.3819 0.0507 0.0852 [1 per cell]
Si: 0.6202 0.9578 0.9148 [1 per cell]
Si: 0.6636 0.6221 0.0837 [1 per cell]
Si: 0.6667 0.0472 0.5848 [1 per cell]
Si: 0.9540 0.6243 0.5824 [1 per cell]
Si: 0.9957 0.7055 0.2515 [1 per cell]
Sn: 0.9998 0.0028 0.3536 [1 per cell]
Sn: 0.3255 0.6637 0.8144 [1 per cell]
Sn: 0.3348 0.6689 0.3131 [1 per cell]
Sn: 0.6644 0.3309 0.4823 [1 per cell]
Sn: 0.6716 0.3381 0.6860 [1 per cell]
Sn: 0.6719 0.3418 0.1848 [1 per cell]
P: 0.0454 0.3785 0.4168 [1 per cell]
P: 0.2885 0.0046 0.7502 [1 per cell]
P: 0.2891 0.2928 0.2498 [1 per cell]
P: 0.3351 0.3827 0.9168 [1 per cell]
P: 0.3777 0.3374 0.5840 [1 per cell]
P: 0.6209 0.6677 0.4168 [1 per cell]
P: 0.7139 0.0040 0.2499 [1 per cell]
P: 0.7144 0.7137 0.7501 [1 per cell]
P: 0.9581 0.3365 0.0832 [1 per cell]
O: 0.0227 0.1923 0.6937 [1 per cell]
O: 0.0259 0.1963 0.4124 [1 per cell]
O: 0.0275 0.8401 0.1957 [1 per cell]
O: 0.0280 0.8441 0.9089 [1 per cell]
O: 0.1152 0.6240 0.8574 [1 per cell]
O: 0.1236 0.4914 0.3611 [1 per cell]
O: 0.1409 0.4946 0.0732 [1 per cell]
O: 0.1484 0.6434 0.5737 [1 per cell]
O: 0.1534 0.9685 0.4144 [1 per cell]
O: 0.1608 0.4675 0.4712 [1 per cell]
O: 0.1652 0.6959 0.9736 [1 per cell]
O: 0.1721 0.1983 0.9087 [1 per cell]
O: 0.1731 0.2033 0.1952 [1 per cell]
O: 0.1760 0.9801 0.6954 [1 per cell]
O: 0.1814 0.7038 0.2522 [1 per cell]
O: 0.1825 0.4849 0.7521 [1 per cell]
O: 0.1878 0.0329 0.0913 [1 per cell]
O: 0.1944 0.1741 0.5925 [1 per cell]
O: 0.1957 0.0219 0.8051 [1 per cell]
O: 0.2106 0.1801 0.3055 [1 per cell]
O: 0.3035 0.4664 0.9710 [1 per cell]
O: 0.3070 0.8324 0.4706 [1 per cell]
O: 0.3082 0.4750 0.2543 [1 per cell]
O: 0.3153 0.8447 0.7530 [1 per cell]
O: 0.3523 0.8542 0.0753 [1 per cell]
O: 0.3532 0.4963 0.5746 [1 per cell]
O: 0.3680 0.8840 0.3548 [1 per cell]
O: 0.3739 0.4911 0.8608 [1 per cell]
O: 0.4501 0.2971 0.5287 [1 per cell]
O: 0.4672 0.3006 0.2448 [1 per cell]
O: 0.4702 0.1714 0.7467 [1 per cell]
O: 0.4769 0.1718 0.0285 [1 per cell]
O: 0.4893 0.3748 0.6398 [1 per cell]
O: 0.4901 0.1186 0.1462 [1 per cell]
O: 0.4934 0.6443 0.0737 [1 per cell]
O: 0.4942 0.3565 0.9260 [1 per cell]
O: 0.5003 0.8495 0.5738 [1 per cell]
O: 0.5082 0.1583 0.4211 [1 per cell]
O: 0.5130 0.6350 0.3601 [1 per cell]
O: 0.5136 0.8828 0.8535 [1 per cell]
O: 0.5272 0.6870 0.4708 [1 per cell]
O: 0.5269 0.8322 0.9714 [1 per cell]
O: 0.5320 0.8360 0.2526 [1 per cell]
O: 0.5374 0.7090 0.7545 [1 per cell]
O: 0.6208 0.1132 0.6455 [1 per cell]
O: 0.6264 0.5098 0.1425 [1 per cell]
O: 0.6446 0.1501 0.9259 [1 per cell]
O: 0.6513 0.5108 0.4221 [1 per cell]
O: 0.6831 0.1605 0.2444 [1 per cell]
O: 0.6929 0.5316 0.7461 [1 per cell]
O: 0.6996 0.5334 0.0266 [1 per cell]
O: 0.7094 0.1649 0.5269 [1 per cell]
O: 0.8030 0.8356 0.4140 [1 per cell]
O: 0.8050 0.8293 0.6960 [1 per cell]
O: 0.8082 0.9847 0.1957 [1 per cell]
O: 0.8157 0.9789 0.9090 [1 per cell]
O: 0.8210 0.2994 0.7483 [1 per cell]
O: 0.8218 0.0370 0.3065 [1 per cell]
O: 0.8270 0.5138 0.2460 [1 per cell]
O: 0.8285 0.8039 0.8055 [1 per cell]
O: 0.8355 0.8193 0.0918 [1 per cell]
O: 0.8371 0.0211 0.5933 [1 per cell]
O: 0.8398 0.3062 0.0290 [1 per cell]
O: 0.8444 0.5557 0.5211 [1 per cell]
O: 0.8491 0.5005 0.9262 [1 per cell]
O: 0.8669 0.3706 0.4219 [1 per cell]
O: 0.8772 0.5067 0.6405 [1 per cell]
O: 0.8868 0.3743 0.1390 [1 per cell]
O: 0.9668 0.7882 0.3118 [1 per cell]
O: 0.9742 0.1713 0.0906 [1 per cell]
O: 0.9762 0.1675 0.8066 [1 per cell]
O: 0.9862 0.8211 0.5930 [1 per cell]

---

Entry 5:
This record from the Materials Project describes a geometry-optimized ErO structure. The functional is PBE-GGA.

Properties
DFT total energy (eV per formula unit): -15.08
V (Å³ per atom): 16.2
Spin magnetization (μB/f.u.): 0.0
Calculated formation energy (eV per atom): -3.128
MP2020-corrected energy (eV/atom): -7.8854

a = 3.9632 Å, b = 3.9632 Å, c = 4.7608 Å
α = 90.00°, β = 90.00°, γ = 120.00°
Space group P6_3/mmc (No. 194)
Symmetry-distinct sites (fractional):
Er: 0.3333 0.6667 0.2500 [2 per cell]
O: 0.3333 0.6667 0.7500 [2 per cell]

---

Entry 6:
This record from the Materials Project describes a geometry-optimized Mg3SbN structure. The functional is PBE-GGA.

Properties
DFT total energy (eV per formula unit): -20.34
V (Å³ per atom): 16.8
Calculated formation energy (eV per atom): -0.686
MP2020-corrected energy (eV/atom): -4.1393

a = 4.3775 Å, b = 4.3775 Å, c = 4.3775 Å
α = 90.00°, β = 90.00°, γ = 90.00°
Space group Pm-3m (No. 221)
Symmetry-distinct sites (fractional):
Mg: 0.0000 0.0000 0.5000 [3 per cell]
Sb: 0.5000 0.5000 0.5000 [1 per cell]
N: 0.0000 0.0000 0.0000 [1 per cell]

---

Entry 7:
This record from the Materials Project describes a geometry-optimized ZnSb4O8 structure. The functional is PBE-GGA.

Properties
DFT total energy (eV per formula unit): -69.21
V (Å³ per atom): 15.5
Spin magnetization (μB/f.u.): 0.0
Calculated formation energy (eV per atom): -1.334
MP2020-corrected energy (eV/atom): -5.7463

a = 6.8746 Å, b = 6.8746 Å, c = 14.7844 Å
α = 90.00°, β = 90.00°, γ = 120.00°
Space group R-3m (No. 166, hexagonal axes)
Symmetry-distinct sites (fractional):
Zn: 0.0000 0.0000 0.0000 [3 per cell]
Sb: 0.0000 0.0000 0.5000 [3 per cell]
Sb: 0.0000 0.5000 0.5000 [9 per cell]
O: 0.0000 0.0000 0.2330 [6 per cell]
O: 0.0263 0.5132 0.7560 [18 per cell]

---

Entry 8:
This record from the Materials Project describes a geometry-optimized LiTl2Rh structure. The functional is PBE-GGA.

Properties
DFT total energy (eV per formula unit): -14.48
V (Å³ per atom): 19.1
Calculated formation energy (eV per atom): -0.121

a = 6.7414 Å, b = 6.7414 Å, c = 6.7414 Å
α = 90.00°, β = 90.00°, γ = 90.00°
Space group Fm-3m (No. 225)
Symmetry-distinct sites (fractional):
Li: 0.0000 0.0000 0.0000 [4 per cell]
Tl: 0.2500 0.2500 0.2500 [8 per cell]
Rh: 0.0000 0.0000 0.5000 [4 per cell]

---

Entry 9:
This record from the Materials Project describes a geometry-optimized V4Zn5 structure. The functional is PBE-GGA.

Properties
DFT total energy (eV per formula unit): -43.05
V (Å³ per atom): 14.0
Calculated formation energy (eV per atom): -0.046

a = 8.9120 Å, b = 8.9120 Å, c = 3.1830 Å
α = 90.00°, β = 90.00°, γ = 90.00°
Space group I4/mmm (No. 139)
Symmetry-distinct sites (fractional):
V: 0.0000 0.3444 0.0000 [8 per cell]
Zn: 0.0000 0.0000 0.0000 [2 per cell]
Zn: 0.1703 0.1703 0.5000 [8 per cell]

---

Entry 10:
This record from the Materials Project describes a geometry-optimized Nd2Th2O7 structure. The functional is PBE-GGA.

Properties
DFT total energy (eV per formula unit): -98.55
V (Å³ per atom): 16.1
Spin magnetization (μB/f.u.): 0.0
Calculated formation energy (eV per atom): -4.033
MP2020-corrected energy (eV/atom): -9.3963

a = 8.0038 Å, b = 3.9097 Å, c = 11.2992 Å
α = 90.00°, β = 90.00°, γ = 90.00°
Space group Pmma (No. 51)
Symmetry-distinct sites (fractional):
Nd: 0.0000 0.0000 0.0000 [2 per cell]
Nd: 0.2500 0.5000 0.2689 [2 per cell]
Th: 0.0000 0.0000 0.5000 [2 per cell]
Th: 0.2500 0.5000 0.7521 [2 per cell]
O: 0.0127 0.5000 0.6213 [4 per cell]
O: 0.0346 0.5000 0.1274 [4 per cell]
O: 0.2500 0.0000 0.3751 [2 per cell]
O: 0.2500 0.0000 0.6310 [2 per cell]
O: 0.2500 0.0000 0.8860 [2 per cell]

---

Entry 11:
This record from the Materials Project describes a geometry-optimized Te10Rh7 structure. The functional is PBE-GGA.

Properties
DFT total energy (eV per formula unit): -89.52
V (Å³ per atom): 23.0
Calculated formation energy (eV per atom): -0.384

a = 8.8645 Å, b = 9.0734 Å, c = 10.5669 Å
α = 75.74°, β = 73.92°, γ = 77.97°
Space group P-1 (No. 2)
Symmetry-distinct sites (fractional):
Te: 0.0048 0.2733 0.2933 [2 per cell]
Te: 0.0873 0.8428 0.3014 [2 per cell]
Te: 0.1145 0.3563 0.8988 [2 per cell]
Te: 0.1949 0.9277 0.9073 [2 per cell]
Te: 0.2043 0.4743 0.4935 [2 per cell]
Te: 0.2890 0.0418 0.4999 [2 per cell]
Te: 0.3139 0.5569 0.0989 [2 per cell]
Te: 0.3964 0.1278 0.1073 [2 per cell]
Te: 0.4018 0.6705 0.6926 [2 per cell]
Te: 0.4873 0.2447 0.6983 [2 per cell]
Rh: 0.0440 0.5670 0.2937 [2 per cell]
Rh: 0.1009 0.0991 0.1007 [2 per cell]
Rh: 0.1556 0.6341 0.9104 [2 per cell]
Rh: 0.2470 0.7640 0.4907 [2 per cell]
Rh: 0.3005 0.3003 0.3004 [2 per cell]
Rh: 0.3583 0.8315 0.1097 [2 per cell]
Rh: 0.4419 0.9693 0.6945 [2 per cell]

---

Entry 12:
This record from the Materials Project describes a geometry-optimized ErFe10Mo2N structure. The functional is PBE-GGA.

Properties
DFT total energy (eV per formula unit): -120.95
V (Å³ per atom): 12.7
Spin magnetization (μB/f.u.): 19.1
Calculated formation energy (eV per atom): -0.144
MP2020-corrected energy (eV/atom): -8.6649

a = 4.7469 Å, b = 8.6122 Å, c = 8.6911 Å
α = 90.00°, β = 90.00°, γ = 90.00°
Space group Immm (No. 71)
Symmetry-distinct sites (fractional):
Er: 0.0000 0.0000 0.0000 [2 per cell]
Fe: 0.0000 0.0000 0.3596 [4 per cell]
Fe: 0.0000 0.2788 0.5000 [4 per cell]
Fe: 0.0000 0.5000 0.2798 [4 per cell]
Fe: 0.2500 0.2500 0.2500 [8 per cell]
Mo: 0.0000 0.3579 0.0000 [4 per cell]
N: 0.0000 0.5000 0.5000 [2 per cell]